(1)
Entry from the Materials Project: crystalline Nd9Ni24Sn49 at its relaxed geometry (PBE).

Values from the calculation:
- Formation energy from the elements: -0.359 eV per atom
- DFT total energy: -4.97 eV/atom
- Spin magnetization: 0.00 μB per atom

a b c (Å): 10.401 10.401 17.113
angles (deg): 89.88 89.88 70.72
Fractional positions:
Sn 0.252 0.504 0.623
Sn 0.818 0.555 0.187
Sn 0.501 0.501 0.131
Sn 0.191 0.683 0.437
Sn 0.628 0.628 0.002
Sn 0.504 0.252 0.623
Sn 0.500 0.500 0.500
Sn 0.055 0.317 0.685
Sn 0.317 0.055 0.685
Sn 0.317 0.809 0.563
Sn 0.997 0.260 0.871
Sn 0.556 0.812 0.815
Sn 0.003 0.740 0.129
Sn 0.684 0.684 0.559
Sn 0.130 0.130 0.502
Sn 0.998 0.998 0.370
Sn 0.938 0.938 0.807
Sn 0.687 0.943 0.684
Sn 0.559 0.559 0.686
Sn 0.812 0.556 0.815
Sn 0.499 0.499 0.869
Sn 0.372 0.372 0.998
Sn 0.193 0.193 0.063
Sn 0.445 0.182 0.813
Sn 0.182 0.445 0.813
Sn 0.319 0.811 0.065
Sn 0.809 0.317 0.563
Sn 0.444 0.188 0.185
Sn 0.496 0.748 0.377
Sn 0.943 0.687 0.684
Sn 0.811 0.319 0.065
Sn 0.683 0.945 0.315
Sn 0.748 0.496 0.377
Sn 0.189 0.681 0.935
Sn 0.316 0.316 0.441
Sn 0.441 0.441 0.314
Sn 0.945 0.683 0.315
Sn 0.740 0.003 0.129
Sn 0.555 0.818 0.187
Sn 0.062 0.062 0.193
Sn 0.870 0.870 0.498
Sn 0.057 0.313 0.316
Sn 0.188 0.444 0.185
Sn 0.681 0.189 0.935
Sn 0.313 0.057 0.316
Sn 0.683 0.191 0.437
Sn 0.807 0.807 0.937
Sn 0.002 0.002 0.630
Sn 0.260 0.997 0.871
Ni 0.259 0.259 0.581
Ni 0.680 0.998 0.839
Ni 0.082 0.082 0.760
Ni 0.240 0.240 0.919
Ni 0.741 0.741 0.419
Ni 0.097 0.743 0.580
Ni 0.501 0.821 0.661
Ni 0.760 0.760 0.081
Ni 0.903 0.257 0.420
Ni 0.998 0.680 0.839
Ni 0.499 0.179 0.339
Ni 0.918 0.918 0.240
Ni 0.419 0.419 0.741
Ni 0.598 0.243 0.079
Ni 0.821 0.501 0.661
Ni 0.002 0.320 0.161
Ni 0.581 0.581 0.259
Ni 0.320 0.002 0.161
Ni 0.402 0.757 0.921
Ni 0.743 0.097 0.580
Ni 0.179 0.499 0.339
Ni 0.757 0.402 0.921
Ni 0.243 0.598 0.079
Ni 0.257 0.903 0.420
Nd 0.000 0.000 0.000
Nd 0.500 0.000 0.000
Nd 0.250 0.750 0.750
Nd 0.750 0.250 0.750
Nd 0.000 0.500 0.500
Nd 0.000 0.500 0.000
Nd 0.250 0.750 0.250
Nd 0.500 0.000 0.500
Nd 0.750 0.250 0.250



(2)
Entry from the Materials Project: crystalline Hg3Se4O12 at its relaxed geometry (PBE).

Values from the calculation:
- Formation energy from the elements: -0.945 eV per atom
- Total energy after the MP2020 corrections: -4.85 eV/atom
- DFT total energy: -4.42 eV/atom
- Spin magnetization: 0.11 μB per atom

a b c (Å): 10.042 7.710 9.694
angles (deg): 67.57 90.00 90.00
Fractional positions:
O 0.245 0.881 0.401
O 0.016 0.280 0.913
O 0.984 0.720 0.087
O 0.244 0.092 0.950
O 0.141 0.262 0.203
O 0.359 0.762 0.203
O 0.070 0.126 0.726
O 0.977 0.384 0.370
O 0.523 0.884 0.370
O 0.641 0.238 0.797
O 0.023 0.616 0.630
O 0.430 0.626 0.726
O 0.255 0.381 0.401
O 0.484 0.780 0.913
O 0.516 0.220 0.087
O 0.745 0.619 0.599
O 0.477 0.116 0.630
O 0.859 0.738 0.797
O 0.755 0.119 0.599
O 0.756 0.908 0.050
O 0.744 0.408 0.050
O 0.570 0.374 0.274
O 0.256 0.592 0.950
O 0.930 0.874 0.274
Hg 0.000 0.500 0.000
Hg 0.871 0.044 0.838
Hg 0.129 0.956 0.162
Hg 0.629 0.544 0.838
Hg 0.500 0.000 0.000
Hg 0.371 0.456 0.162
Se 0.383 0.765 0.381
Se 0.153 0.258 0.806
Se 0.883 0.735 0.619
Se 0.617 0.235 0.619
Se 0.847 0.742 0.194
Se 0.117 0.265 0.381
Se 0.347 0.758 0.806
Se 0.653 0.242 0.194



(3)
Entry from the Materials Project: crystalline Ga3O5 at its relaxed geometry (PBE).

Values from the calculation:
- Formation energy from the elements: -2.007 eV per atom
- Total energy after the MP2020 corrections: -6.24 eV/atom
- DFT total energy: -5.81 eV/atom
- Spin magnetization: 0.13 μB per atom

a b c (Å): 6.052 8.046 8.702
angles (deg): 90.00 90.00 90.00
Fractional positions:
O 0.750 0.614 0.398
O 0.501 0.824 0.168
O 0.750 0.119 0.099
O 0.999 0.824 0.168
O 0.250 0.501 0.081
O 0.250 0.619 0.401
O 0.750 0.381 0.599
O 0.250 0.999 0.581
O 0.750 0.499 0.919
O 0.750 0.886 0.898
O 0.499 0.324 0.332
O 0.999 0.676 0.668
O 0.001 0.176 0.832
O 0.001 0.324 0.332
O 0.750 0.001 0.419
O 0.250 0.114 0.102
O 0.501 0.676 0.668
O 0.499 0.176 0.832
O 0.250 0.881 0.901
O 0.250 0.386 0.602
Ga 0.250 0.188 0.705
Ga 0.250 0.312 0.205
Ga 0.500 0.000 0.000
Ga 0.750 0.812 0.295
Ga 0.750 0.196 0.301
Ga 0.750 0.688 0.795
Ga 0.500 0.500 0.500
Ga 0.250 0.804 0.699
Ga 0.250 0.696 0.199
Ga 0.750 0.304 0.801
Ga 0.000 0.500 0.500
Ga 0.000 0.000 0.000



(4)
Entry from the Materials Project: crystalline Cs3Nb2I9 at its relaxed geometry (PBE).

Values from the calculation:
- Formation energy from the elements: -1.199 eV per atom
- Total energy after the MP2020 corrections: -3.81 eV/atom
- DFT total energy: -3.57 eV/atom

a b c (Å): 8.604 8.604 19.937
angles (deg): 90.00 90.00 120.00
Fractional positions:
Cs 0.667 0.333 0.569
Cs 0.000 0.000 0.250
Cs 0.000 0.000 0.750
Cs 0.667 0.333 0.931
Cs 0.333 0.667 0.069
Cs 0.333 0.667 0.431
I 0.823 0.646 0.405
I 0.646 0.823 0.595
I 0.177 0.354 0.905
I 0.498 0.997 0.250
I 0.498 0.502 0.250
I 0.354 0.177 0.095
I 0.646 0.823 0.905
I 0.502 0.003 0.750
I 0.502 0.498 0.750
I 0.997 0.498 0.750
I 0.823 0.177 0.095
I 0.177 0.823 0.595
I 0.823 0.177 0.405
I 0.823 0.646 0.095
I 0.177 0.823 0.905
I 0.177 0.354 0.595
I 0.354 0.177 0.405
I 0.003 0.502 0.250
Nb 0.333 0.667 0.821
Nb 0.667 0.333 0.179
Nb 0.667 0.333 0.321
Nb 0.333 0.667 0.679



(5)
Entry from the Materials Project: crystalline Na9Ta2Zn4P9O36 at its relaxed geometry (PBE).

Values from the calculation:
- Formation energy from the elements: -2.616 eV per atom
- Total energy after the MP2020 corrections: -7.07 eV/atom
- DFT total energy: -6.66 eV/atom
- ΔE to the lowest computed polymorph: 0.009 eV per atom
- Spin magnetization: 0.00 μB per atom

a b c (Å): 15.624 26.935 8.908
angles (deg): 89.81 125.10 90.00
Fractional positions:
O 0.574 0.485 0.414
O 0.844 0.451 0.578
O 0.078 0.052 0.228
O 0.565 0.851 0.917
O 0.742 0.945 0.754
O 0.155 0.472 0.231
O 0.242 0.445 0.754
O 0.434 0.516 0.572
O 0.342 0.714 0.074
O 0.544 0.385 0.068
O 0.427 0.553 0.254
O 0.739 0.390 0.252
O 0.751 0.890 0.234
O 0.851 0.785 0.579
O 0.655 0.972 0.231
O 0.270 0.606 0.770
O 0.351 0.385 0.092
O 0.442 0.150 0.085
O 0.772 0.438 0.767
O 0.757 0.772 0.732
O 0.560 0.187 0.924
O 0.272 0.938 0.767
O 0.352 0.022 0.765
O 0.154 0.541 0.419
O 0.589 0.121 0.765
O 0.434 0.851 0.574
O 0.559 0.524 0.915
O 0.240 0.111 0.757
O 0.934 0.351 0.574
O 0.059 0.024 0.915
O 0.041 0.118 0.560
O 0.445 0.054 0.438
O 0.578 0.552 0.228
O 0.457 0.724 0.421
O 0.924 0.952 0.762
O 0.343 0.311 0.255
O 0.089 0.621 0.765
O 0.258 0.727 0.247
O 0.155 0.523 0.763
O 0.427 0.782 0.753
O 0.151 0.808 0.228
O 0.346 0.353 0.762
O 0.084 0.380 0.242
O 0.046 0.783 0.565
O 0.934 0.319 0.064
O 0.855 0.547 0.091
O 0.942 0.650 0.085
O 0.843 0.190 0.756
O 0.137 0.215 0.406
O 0.851 0.885 0.092
O 0.156 0.857 0.762
O 0.065 0.351 0.917
O 0.139 0.121 0.905
O 0.834 0.479 0.255
O 0.931 0.386 0.259
O 0.637 0.715 0.406
O 0.427 0.116 0.761
O 0.047 0.550 0.071
O 0.546 0.283 0.565
O 0.561 0.811 0.410
O 0.140 0.780 0.905
O 0.640 0.280 0.905
O 0.649 0.374 0.417
O 0.577 0.153 0.433
O 0.343 0.690 0.756
O 0.541 0.716 0.062
O 0.044 0.885 0.068
O 0.842 0.146 0.266
O 0.656 0.357 0.762
O 0.148 0.193 0.737
O 0.432 0.486 0.070
O 0.239 0.890 0.252
O 0.343 0.619 0.577
O 0.464 0.615 0.920
O 0.582 0.217 0.239
O 0.041 0.216 0.062
O 0.541 0.618 0.560
O 0.740 0.611 0.757
O 0.647 0.946 0.914
O 0.770 0.106 0.770
O 0.650 0.642 0.245
O 0.061 0.311 0.410
O 0.927 0.282 0.753
O 0.243 0.552 0.249
O 0.648 0.693 0.737
O 0.843 0.119 0.577
O 0.429 0.221 0.255
O 0.257 0.272 0.732
O 0.044 0.450 0.566
O 0.965 0.443 0.920
O 0.852 0.522 0.765
O 0.355 0.047 0.091
O 0.927 0.616 0.761
O 0.584 0.880 0.242
O 0.465 0.943 0.920
O 0.932 0.986 0.070
O 0.434 0.819 0.064
O 0.544 0.950 0.566
O 0.342 0.646 0.266
O 0.334 0.979 0.255
O 0.843 0.811 0.255
O 0.239 0.223 0.258
O 0.147 0.446 0.914
O 0.846 0.853 0.762
O 0.581 0.785 0.734
O 0.082 0.717 0.239
O 0.077 0.653 0.433
O 0.739 0.723 0.258
O 0.927 0.053 0.254
O 0.945 0.554 0.438
O 0.654 0.041 0.419
O 0.743 0.052 0.249
O 0.547 0.050 0.071
O 0.957 0.776 0.925
O 0.241 0.776 0.758
O 0.929 0.721 0.255
O 0.060 0.687 0.924
O 0.741 0.276 0.758
O 0.074 0.985 0.414
O 0.651 0.308 0.228
O 0.957 0.224 0.421
O 0.149 0.874 0.417
O 0.639 0.621 0.905
O 0.251 0.390 0.234
O 0.655 0.023 0.763
O 0.750 0.559 0.228
O 0.344 0.951 0.578
O 0.431 0.886 0.259
O 0.945 0.890 0.437
O 0.150 0.142 0.245
O 0.081 0.285 0.734
O 0.250 0.059 0.228
O 0.441 0.183 0.578
O 0.424 0.452 0.762
O 0.445 0.390 0.437
O 0.085 0.952 0.761
O 0.585 0.452 0.761
O 0.758 0.227 0.247
O 0.457 0.276 0.925
O 0.842 0.214 0.074
O 0.941 0.683 0.578
O 0.934 0.016 0.572
O 0.351 0.285 0.579
O 0.964 0.115 0.920
P 0.646 0.300 0.741
P 0.498 0.151 0.747
P 0.648 0.032 0.243
P 0.145 0.133 0.735
P 0.852 0.465 0.751
P 0.146 0.867 0.242
P 0.998 0.318 0.739
P 0.850 0.133 0.750
P 0.996 0.349 0.239
P 0.853 0.798 0.744
P 0.851 0.535 0.253
P 0.350 0.633 0.750
P 0.000 0.984 0.746
P 0.500 0.182 0.252
P 0.000 0.682 0.252
P 0.000 0.016 0.244
P 0.644 0.701 0.238
P 0.146 0.800 0.741
P 0.351 0.035 0.253
P 0.500 0.484 0.746
P 0.353 0.298 0.744
P 0.500 0.516 0.244
P 0.496 0.849 0.239
P 0.998 0.651 0.747
P 0.498 0.818 0.739
P 0.144 0.201 0.238
P 0.147 0.466 0.741
P 0.853 0.867 0.256
P 0.350 0.702 0.249
P 0.148 0.532 0.243
P 0.647 0.966 0.741
P 0.850 0.202 0.249
P 0.353 0.367 0.256
P 0.646 0.367 0.242
P 0.352 0.965 0.751
P 0.645 0.633 0.735
Na 0.186 0.636 0.302
Na 0.694 0.471 0.306
Na 0.685 0.190 0.764
Na 0.807 0.358 0.702
Na 0.264 0.088 0.535
Na 0.995 0.873 0.738
Na 0.823 0.975 0.212
Na 0.251 0.918 0.005
Na 0.992 0.132 0.250
Na 0.764 0.588 0.535
Na 0.761 0.749 0.032
Na 0.495 0.038 0.738
Na 0.998 0.470 0.265
Na 0.807 0.022 0.709
Na 0.185 0.690 0.764
Na 0.686 0.136 0.302
Na 0.996 0.200 0.755
Na 0.755 0.911 0.527
Na 0.323 0.475 0.212
Na 0.194 0.971 0.306
Na 0.995 0.538 0.738
Na 0.496 0.700 0.755
Na 0.307 0.522 0.709
Na 0.256 0.751 0.521
Na 0.500 0.302 0.270
Na 0.247 0.582 0.000
Na 0.756 0.251 0.521
Na 0.000 0.802 0.270
Na 0.307 0.858 0.702
Na 0.747 0.082 0.000
Na 0.495 0.373 0.738
Na 0.751 0.418 0.005
Na 0.255 0.411 0.527
Na 0.492 0.632 0.250
Na 0.261 0.249 0.032
Na 0.498 0.970 0.265
Ta 0.108 0.252 0.562
Ta 0.103 0.749 0.060
Ta 0.606 0.584 0.059
Ta 0.603 0.249 0.060
Ta 0.605 0.913 0.060
Ta 0.106 0.084 0.059
Ta 0.608 0.752 0.562
Ta 0.105 0.413 0.060
Zn 0.900 0.416 0.444
Zn 0.402 0.752 0.955
Zn 0.100 0.921 0.561
Zn 0.590 0.086 0.551
Zn 0.900 0.916 0.953
Zn 0.902 0.081 0.449
Zn 0.400 0.916 0.444
Zn 0.898 0.748 0.445
Zn 0.398 0.248 0.445
Zn 0.899 0.585 0.953
Zn 0.090 0.586 0.551
Zn 0.400 0.416 0.953
Zn 0.600 0.421 0.561
Zn 0.402 0.581 0.449
Zn 0.399 0.085 0.953
Zn 0.902 0.252 0.955



Q: What is the formula in the third record?
A: Ga3O5



Q: Which of these has the lowest formation energy from the elements?
A: Na9Ta2Zn4P9O36